[1]
A geometry-optimized Ba3BiPb2O9 structure, computed with PBE.

abc: 6.1698 6.1706 13.7939
angles: 102.70 102.71 89.87
Closest atoms and distances in Å follow each position.
Atoms (fractional coordinates):
Pb 0.6661 0.6662 0.3323  6 O 2.19-2.22
O 0.3823 0.8854 0.3173  1 Bi 2.19, 1 Pb 2.21
Ba 0.5834 0.0838 0.1651  6 O 2.78-3.07
Bi 0.1665 0.1667 0.3332  6 O 2.18-2.19
O 0.7243 0.7764 0.5005  1 Bi 2.19, 1 Pb 2.22
O 0.0489 0.5515 0.6497  1 Bi 2.19, 1 Pb 2.21
O 0.6104 0.5566 0.1665  2 Pb 2.19-2.20
O 0.2839 0.7839 0.0168  2 Pb 2.20
O 0.1076 0.0557 0.6658  1 Bi 2.18, 1 Pb 2.21
Ba 0.9192 0.4188 0.8363  7 O 2.83-3.13
Ba 0.7486 0.2486 0.4993  7 O 2.80-3.09
Bi 0.8335 0.8333 0.6668  6 O 2.18-2.19
Ba 0.4166 0.9162 0.8349  6 O 2.78-3.07
O 0.4417 0.3894 0.3339  1 Bi 2.18, 1 Pb 2.21
Ba 0.0808 0.5812 0.1637  7 O 2.83-3.13
O 0.2229 0.2770 0.0000  2 Pb 2.20
O 0.7161 0.2161 0.9832  2 Pb 2.20
O 0.8924 0.9443 0.3342  1 Bi 2.18, 1 Pb 2.21
O 0.9511 0.4485 0.3503  1 Bi 2.19, 1 Pb 2.21
O 0.3896 0.4434 0.8335  2 Pb 2.19-2.20
Pb 0.5000 0.5000 0.0000  6 O 2.20
O 0.0580 0.1103 0.1677  1 Bi 2.18, 1 Pb 2.21
O 0.6177 0.1146 0.6827  1 Bi 2.19, 1 Pb 2.21
Ba 0.2514 0.7514 0.5007  7 O 2.80-3.09
Pb 0.0000 0.0000 0.0000  6 O 2.20-2.21
O 0.5583 0.6106 0.6661  1 Bi 2.18, 1 Pb 2.21
O 0.9420 0.8897 0.8323  1 Bi 2.18, 1 Pb 2.21
Pb 0.3339 0.3338 0.6677  6 O 2.19-2.22
O 0.7771 0.7230 0.0000  2 Pb 2.20
O 0.2757 0.2236 0.4995  1 Bi 2.19, 1 Pb 2.22

Results
Density = 7.85 g cm⁻³
E_form = -2.16 eV per atom
Symmetry = P-1
Raw total energy = -0.215 Ha/atom

---

[2]
A geometry-optimized Ba5BiPb4O15 structure, computed with PBE.

abc: 6.1711 6.1725 25.4243
angles: 83.10 83.12 60.45
Closest atoms and distances in Å follow each position.
Atoms (fractional coordinates):
O 0.5879 0.7108 0.0503  2 Pb 2.20-2.21
Pb 0.0000 0.0000 0.5000  6 O 2.22
O 0.2675 0.7729 0.2576  2 Pb 2.19-2.22
O 0.3961 0.5065 0.6482  1 Bi 2.18, 1 Pb 2.25
Ba 0.5443 0.5539 0.8518  6 O 2.76-3.06
O 0.2072 0.0968 0.5499  1 Bi 2.20, 1 Pb 2.22
Pb 0.3999 0.4014 0.2985  6 O 2.19-2.25
O 0.8692 0.3710 0.9565  2 Pb 2.20-2.21
O 0.7325 0.2271 0.7424  2 Pb 2.19-2.22
O 0.6699 0.1709 0.0569  2 Pb 2.20-2.21
Pb 0.1999 0.1996 0.9005  6 O 2.20-2.22
O 0.1347 0.6280 0.5439  1 Bi 2.20, 1 Pb 2.22
Ba 0.0546 0.0481 0.3471  6 O 2.79-3.00
Pb 0.8001 0.8004 0.0995  6 O 2.20-2.22
O 0.7349 0.2270 0.2448  2 Pb 2.19-2.22
Ba 0.6524 0.6467 0.5508  7 O 2.78-3.11
O 0.2651 0.7730 0.7552  2 Pb 2.19-2.22
O 0.0721 0.5673 0.8560  2 Pb 2.20-2.21
Ba 0.7480 0.7552 0.2469  6 O 2.76-3.02
Ba 0.9454 0.9519 0.6530  6 O 2.79-3.00
Pb 0.6001 0.5986 0.7015  6 O 2.19-2.25
O 0.4720 0.9690 0.1571  2 Pb 2.20-2.22
Pb 0.1010 0.0999 0.1991  6 O 2.20-2.22
O 0.3301 0.8291 0.9431  2 Pb 2.20-2.21
Pb 0.8990 0.9001 0.8009  6 O 2.20-2.22
O 0.6039 0.4935 0.3518  1 Bi 2.18, 1 Pb 2.25
O 0.9325 0.4327 0.6426  1 Bi 2.18, 1 Pb 2.25
Pb 0.5000 0.5000 0.0000  6 O 2.21
O 0.8653 0.3720 0.4561  1 Bi 2.20, 1 Pb 2.22
O 0.5280 0.0310 0.8429  2 Pb 2.20-2.22
Ba 0.2520 0.2448 0.7531  6 O 2.76-3.02
O 0.9908 0.1131 0.8492  2 Pb 2.20-2.22
O 0.1872 0.3062 0.2515  2 Pb 2.19-2.22
Bi 0.7005 0.6999 0.3995  6 O 2.17-2.20
O 0.5323 0.0317 0.3455  1 Bi 2.17, 1 Pb 2.25
O 0.6642 0.1700 0.5560  1 Bi 2.20, 1 Pb 2.22
Ba 0.4557 0.4461 0.1482  6 O 2.76-3.06
O 0.4677 0.9683 0.6545  1 Bi 2.17, 1 Pb 2.25
O 0.9279 0.4327 0.1440  2 Pb 2.20-2.21
O 0.3358 0.8300 0.4440  1 Bi 2.20, 1 Pb 2.22
Ba 0.8547 0.8447 0.9506  5 O 2.76-2.91
Ba 0.1453 0.1553 0.0494  5 O 2.76-2.91
O 0.1308 0.6290 0.0435  2 Pb 2.20-2.21
O 0.4121 0.2892 0.9497  2 Pb 2.20-2.21
O 0.0092 0.8869 0.1508  2 Pb 2.20-2.22
Ba 0.3476 0.3533 0.4492  7 O 2.78-3.11
O 0.7928 0.9032 0.4501  1 Bi 2.20, 1 Pb 2.22
O 0.0675 0.5673 0.3574  1 Bi 2.18, 1 Pb 2.25
O 0.8128 0.6938 0.7485  2 Pb 2.19-2.22
Bi 0.2995 0.3001 0.6005  6 O 2.17-2.20

Results
Density = 7.82 g cm⁻³
E_form = -2.14 eV per atom
Symmetry = P-1
Raw total energy = -0.214 Ha/atom

---

[3]
A geometry-optimized Ba4BiPb3O12 structure, computed with PBE.

abc: 4.3687 4.3687 17.5416
angles: 90.00 90.00 90.00
Closest atoms and distances in Å follow each position.
Atoms (fractional coordinates):
O 0.0000 0.5000 0.5000  2 Pb 2.18
Ba 0.5000 0.5000 0.3765  12 O 3.08-3.15
O 0.0000 0.5000 0.0000  2 Bi 2.18
O 0.5000 0.0000 0.0000  2 Bi 2.18
O 0.0000 0.0000 0.8762  1 Bi 2.17, 1 Pb 2.23
O 0.0000 0.0000 0.6254  2 Pb 2.17-2.20
O 0.5000 0.0000 0.2469  2 Pb 2.19
Pb 0.0000 0.0000 0.2511  6 O 2.17-2.23
Ba 0.5000 0.5000 0.6235  12 O 3.08-3.15
O 0.0000 0.5000 0.7531  2 Pb 2.19
Bi 0.0000 0.0000 0.0000  6 O 2.17-2.18
O 0.0000 0.5000 0.2469  2 Pb 2.19
O 0.0000 0.0000 0.3746  2 Pb 2.17-2.20
O 0.5000 0.0000 0.5000  2 Pb 2.18
Ba 0.5000 0.5000 0.8694  12 O 2.99-3.17
Pb 0.0000 0.0000 0.7489  6 O 2.17-2.23
Pb 0.0000 0.0000 0.5000  6 O 2.18-2.20
O 0.0000 0.0000 0.1238  1 Bi 2.17, 1 Pb 2.23
Ba 0.5000 0.5000 0.1306  12 O 2.99-3.17
O 0.5000 0.0000 0.7531  2 Pb 2.19

Results
E above lowest polymorph = 23 meV per atom
Density = 7.80 g cm⁻³
E_form = -2.13 eV per atom
Symmetry = P4/mmm
Raw total energy = -0.214 Ha/atom

---

[4]
A geometry-optimized Ba8Tl2Bi2Pb4O17 structure, computed with PBE.

abc: 6.4578 6.4594 16.0182
angles: 91.70 90.96 93.23
Closest atoms and distances in Å follow each position.
Atoms (fractional coordinates):
Tl 0.5032 0.5120 0.9934  4 O 2.24-2.29
Bi 0.0202 0.0139 0.7442  5 O 2.20-2.35
Ba 0.9822 0.5132 0.8785  5 O 2.68-2.97
O 0.4371 0.4087 0.1230  1 Bi 2.16, 1 Tl 2.24
O 0.2585 0.2762 0.7050  1 Pb 2.30, 1 Bi 2.33
O 0.7351 0.7919 0.9827  1 Pb 2.20, 1 Tl 2.29
O 0.7328 0.7413 0.4763  1 Pb 2.28, 1 Tl 2.46
Ba 0.9937 0.4766 0.3925  5 O 2.70-2.96
Tl 0.0012 0.9994 0.5286  4 O 2.46
O 0.1067 0.0855 0.8757  1 Bi 2.20, 1 Pb 2.27
Pb 0.9878 0.9719 0.2901  4 O 2.31-2.55
Ba 0.0021 0.4922 0.1404  4 O 2.63-2.91
O 0.7508 0.7334 0.2202  1 Pb 2.35, 1 Bi 2.38, 1 Ba 2.63
O 0.7783 0.7378 0.7513  1 Bi 2.31, 1 Pb 2.33
Pb 0.4934 0.5088 0.7716  4 O 2.30-2.49
O 0.1935 0.2578 0.2531  1 Pb 2.31, 1 Bi 2.31
Ba 0.4939 0.9942 0.3906  5 O 2.66-2.94
O 0.2261 0.7179 0.9987  1 Tl 2.29, 1 Pb 2.41
O 0.2453 0.7650 0.2392  1 Pb 2.33, 1 Bi 2.50
Ba 0.5085 0.0186 0.6238  4 O 2.70-2.96
Ba 0.5295 0.0052 0.8725  4 O 2.66-2.94
O 0.2482 0.7365 0.4928  1 Pb 2.32, 1 Tl 2.46
O 0.2815 0.7755 0.7324  1 Pb 2.35, 1 Bi 2.35
O 0.7073 0.2210 0.2574  1 Bi 2.25
O 0.7512 0.2434 0.7448  1 Bi 2.35, 1 Pb 2.49
Bi 0.4877 0.4794 0.2546  4 O 2.16-2.38
Pb 0.0077 0.0071 0.0066  3 O 2.20-2.41
O 0.2643 0.2524 0.4769  1 Pb 2.32, 1 Tl 2.46
O 0.7556 0.2801 0.9824  1 Tl 2.28, 1 Pb 2.50
Ba 0.9969 0.5138 0.6291  3 O 2.65-2.89
Ba 0.4969 0.9806 0.1407  4 O 2.65-2.84
Pb 0.4967 0.5093 0.5315  4 O 2.28-2.40
O 0.7470 0.2586 0.4992  1 Pb 2.40, 1 Tl 2.46

Results
Density = 7.54 g cm⁻³
E_form = -2.07 eV per atom
Symmetry = P1
Raw total energy = -0.204 Ha/atom

---

[5]
A geometry-optimized Ba4TlBiPb2O9 structure, computed with PBE.

abc: 6.3631 8.1651 12.7547
angles: 90.00 90.00 90.00
Closest atoms and distances in Å follow each position.
Atoms (fractional coordinates):
O 0.0000 0.2500 0.5000  2 Bi 2.04
Ba 0.5000 0.2500 0.0000  4 O 2.73
Ba 0.0000 0.7500 0.2599  4 O 2.71-2.80
O 0.2826 0.0000 0.5998  1 Bi 2.20, 1 Pb 2.38
Pb 0.4995 0.5000 0.2481  4 O 2.37-2.38
Pb 0.5005 0.5000 0.7519  4 O 2.37-2.38
O 0.1994 0.0000 0.3585  1 Bi 2.21, 1 Pb 2.38
O 0.1904 0.0000 0.8568  1 Tl 2.19, 1 Pb 2.38
O 0.1904 0.5000 0.1432  1 Tl 2.19, 1 Pb 2.38
O 0.8006 0.5000 0.3585  1 Bi 2.21, 1 Pb 2.38
Ba 0.5000 0.7500 0.5000  4 O 2.78
O 0.8096 0.5000 0.8568  1 Tl 2.19, 1 Pb 2.38
O 0.2893 0.5000 0.9052  1 Tl 2.20, 1 Pb 2.37
Tl 0.0000 0.5000 0.0000  4 O 2.19-2.20
O 0.7174 0.0000 0.4002  1 Bi 2.20, 1 Pb 2.38
Ba 0.0000 0.2500 0.2599  4 O 2.71-2.80
O 0.1994 0.5000 0.6415  1 Bi 2.21, 1 Pb 2.38
O 0.8006 0.0000 0.6415  1 Bi 2.21, 1 Pb 2.38
O 0.8096 0.0000 0.1432  1 Tl 2.19, 1 Pb 2.38
Pb 0.5005 0.0000 0.2481  4 O 2.37-2.38
Ba 0.0000 0.7500 0.7401  4 O 2.71-2.80
Pb 0.4995 0.0000 0.7519  4 O 2.37-2.38
Ba 0.0000 0.2500 0.7401  4 O 2.71-2.80
Ba 0.5000 0.2500 0.5000  4 O 2.78
Ba 0.5000 0.7500 0.0000  4 O 2.73
O 0.2893 0.0000 0.0948  1 Tl 2.20, 1 Pb 2.37
O 0.7174 0.5000 0.5998  1 Bi 2.20, 1 Pb 2.38
O 0.2826 0.5000 0.4002  1 Bi 2.20, 1 Pb 2.38
O 0.0000 0.7500 0.5000  2 Bi 2.04
O 0.7107 0.5000 0.0948  1 Tl 2.20, 1 Pb 2.37
Tl 0.0000 0.0000 0.0000  4 O 2.19-2.20
Bi 0.0000 0.0000 0.5000  6 O 2.04-2.21
Bi 0.0000 0.5000 0.5000  6 O 2.04-2.21
O 0.7107 0.0000 0.9052  1 Tl 2.20, 1 Pb 2.37

Results
Density = 7.62 g cm⁻³
E_form = -1.97 eV per atom
Symmetry = Pccm
Raw total energy = -0.202 Ha/atom

---

[6]
A geometry-optimized BaSrPrBiO6 structure, computed with PBE.

abc: 6.2619 6.2619 6.2619
angles: 60.00 60.00 60.00
Closest atoms and distances in Å follow each position.
Atoms (fractional coordinates):
O 0.2390 0.2390 0.7610  1 Bi 2.12, 1 Pr 2.31
O 0.7610 0.7610 0.2390  1 Bi 2.12, 1 Pr 2.31
Ba 0.7500 0.7500 0.7500  12 O 3.13
O 0.7610 0.2390 0.7610  1 Bi 2.12, 1 Pr 2.31
Pr 0.5000 0.5000 0.5000  6 O 2.31
O 0.2390 0.7610 0.2390  1 Bi 2.12, 1 Pr 2.31
O 0.7610 0.2390 0.2390  1 Bi 2.12, 1 Pr 2.31
O 0.2390 0.7610 0.7610  1 Bi 2.12, 1 Pr 2.31
Bi 0.0000 0.0000 0.0000  6 O 2.12
Sr 0.2500 0.2500 0.2500  12 O 3.13

Results
E above lowest polymorph = 63 meV per atom
Density = 6.42 g cm⁻³
E_form = -2.67 eV per atom
Symmetry = F-43m
Raw total energy = -0.237 Ha/atom

---

[7]
A geometry-optimized BaSrPrBiO6 structure, computed with PBE.

abc: 8.7924 8.7998 8.7913
angles: 90.00 90.00 90.00
Closest atoms and distances in Å follow each position.
Atoms (fractional coordinates):
Pr 0.7474 0.7494 0.2508  6 O 2.34-2.37
O 0.2910 0.9877 0.2088  1 Bi 2.15, 1 Pr 2.37
O 0.2910 0.0123 0.7912  1 Bi 2.15, 1 Pr 2.37
O 0.7870 0.4873 0.2975  1 Bi 2.15, 1 Pr 2.37
O 0.5115 0.7008 0.7878  1 Bi 2.13, 1 Pr 2.34
O 0.7040 0.7907 0.5129  1 Bi 2.15, 1 Pr 2.36
Ba 0.0000 0.0000 0.5000  4 O 2.72
O 0.2180 0.2817 0.9888  1 Bi 2.14, 1 Pr 2.34
O 0.7820 0.2817 0.0112  1 Bi 2.14, 1 Pr 2.34
O 0.7820 0.7183 0.9888  1 Bi 2.14, 1 Pr 2.34
Pr 0.2526 0.2506 0.2508  6 O 2.34-2.37
O 0.2130 0.5127 0.2975  1 Bi 2.15, 1 Pr 2.37
Sr 0.5000 0.0000 0.0000  4 O 2.60
Ba 0.5000 0.5000 0.5000  12 O 3.09-3.13
O 0.9872 0.7853 0.7219  1 Bi 2.16, 1 Pr 2.37
O 0.7090 0.9877 0.7912  1 Bi 2.15, 1 Pr 2.37
Ba 0.0000 0.0000 0.0000  12 O 3.09-3.15
O 0.7040 0.2093 0.4871  1 Bi 2.15, 1 Pr 2.36
O 0.2180 0.7183 0.0112  1 Bi 2.14, 1 Pr 2.34
O 0.4885 0.2992 0.7878  1 Bi 2.13, 1 Pr 2.34
Bi 0.2535 0.2508 0.7504  6 O 2.13-2.16
Ba 0.0000 0.5000 0.0000  4 O 2.72
Bi 0.2535 0.7492 0.2496  6 O 2.13-2.16
O 0.0128 0.7853 0.2781  1 Bi 2.16, 1 Pr 2.37
O 0.9872 0.2147 0.2781  1 Bi 2.16, 1 Pr 2.37
Bi 0.7465 0.2508 0.2496  6 O 2.13-2.16
Pr 0.7474 0.2506 0.7492  6 O 2.34-2.37
O 0.0128 0.2147 0.7219  1 Bi 2.16, 1 Pr 2.37
Bi 0.7465 0.7492 0.7504  6 O 2.13-2.16
Pr 0.2526 0.7494 0.7492  6 O 2.34-2.37
Sr 0.0000 0.5000 0.5000  4 O 2.59
O 0.5115 0.2992 0.2122  1 Bi 2.13, 1 Pr 2.34
O 0.7090 0.0123 0.2088  1 Bi 2.15, 1 Pr 2.37
O 0.2960 0.7907 0.4871  1 Bi 2.15, 1 Pr 2.36
O 0.7870 0.5127 0.7025  1 Bi 2.15, 1 Pr 2.37
O 0.2130 0.4873 0.7025  1 Bi 2.15, 1 Pr 2.37
Sr 0.5000 0.0000 0.5000  4 O 2.57
O 0.2960 0.2093 0.5129  1 Bi 2.15, 1 Pr 2.36
O 0.4885 0.7008 0.2122  1 Bi 2.13, 1 Pr 2.34
Sr 0.5000 0.5000 0.0000  4 O 2.57

Results
E above lowest polymorph = 0 meV per atom
Density = 6.55 g cm⁻³
E_form = -2.74 eV per atom
Symmetry = P222
Raw total energy = -0.240 Ha/atom

---

[8]
A geometry-optimized Ba2BiRuO6 structure, computed with PBE.

abc: 6.1347 6.1347 20.6000
angles: 90.00 90.00 120.00
Closest atoms and distances in Å follow each position.
Atoms (fractional coordinates):
Ru 0.0000 0.0000 0.8167  6 O 1.94-2.12
Ba 0.3333 0.6667 0.7500  12 O 2.99-3.07
O 0.8416 0.6833 0.3634  1 Ru 1.94
Ba 0.0000 0.0000 0.5000  12 O 3.07-3.28
O 0.5000 0.5000 0.5000  2 Bi 2.17
O 0.3167 0.1584 0.1366  1 Ru 1.94
Bi 0.3333 0.6667 0.5611  6 O 2.17-2.42
Ba 0.0000 0.0000 0.0000  12 O 3.07-3.28
O 0.8416 0.1584 0.3634  1 Ru 1.94
O 0.1584 0.8416 0.6366  1 Ru 1.94
Bi 0.6667 0.3333 0.4389  6 O 2.17-2.42
O 0.5000 0.5000 0.0000  2 Bi 2.17
O 0.5000 0.0000 0.5000  2 Bi 2.17
Ba 0.6667 0.3333 0.2500  12 O 2.99-3.07
O 0.8476 0.6951 0.7500  2 Ru 2.12
Ru 0.0000 0.0000 0.3167  6 O 1.94-2.12
Bi 0.6667 0.3333 0.0611  6 O 2.17-2.42
O 0.8476 0.1524 0.7500  2 Ru 2.12
O 0.1524 0.8476 0.2500  2 Ru 2.12
O 0.1584 0.3167 0.8634  1 Ru 1.94
Ba 0.6667 0.3333 0.6446  9 O 2.90-3.07
Ba 0.3333 0.6667 0.1446  9 O 2.90-3.07
O 0.5000 0.0000 0.0000  2 Bi 2.17
O 0.1524 0.3049 0.2500  2 Ru 2.12
Ru 0.0000 0.0000 0.6833  6 O 1.94-2.12
O 0.6833 0.8416 0.8634  1 Ru 1.94
O 0.8416 0.6833 0.1366  1 Ru 1.94
O 0.6951 0.8476 0.2500  2 Ru 2.12
Ba 0.3333 0.6667 0.3554  9 O 2.90-3.07
O 0.3167 0.1584 0.3634  1 Ru 1.94
Ru 0.0000 0.0000 0.1833  6 O 1.94-2.12
O 0.3049 0.1524 0.7500  2 Ru 2.12
O 0.8416 0.1584 0.1366  1 Ru 1.94
O 0.0000 0.5000 0.5000  2 Bi 2.17
Bi 0.3333 0.6667 0.9389  6 O 2.17-2.42
O 0.6833 0.8416 0.6366  1 Ru 1.94
O 0.1584 0.3167 0.6366  1 Ru 1.94
Ba 0.6667 0.3333 0.8554  9 O 2.90-3.07
O 0.0000 0.5000 0.0000  2 Bi 2.17
O 0.1584 0.8416 0.8634  1 Ru 1.94

Results
Density = 6.73 g cm⁻³
E_form = -2.19 eV per atom
Symmetry = P6_3/mmc
Raw total energy = -0.237 Ha/atom